This record from the Materials Project database describes a relaxed structure of Ge3PbO7. The functional is PBE.

Output
* DFT formation energy: -2.015 eV per atom
* raw total energy: -69.6 eV per formula unit
* mass density: 5.682 Mg/m³
* SG: No. 61

Unit cell a=5.3514 b=16.3787 c=14.3261 alpha=90.00 beta=90.00 gamma=90.00
Fractional coordinates of all 88 atoms:
Ge 0.1412 0.0290 0.1756
Ge 0.1412 0.4710 0.6756
Ge 0.1554 0.0947 0.9653
Ge 0.1554 0.4053 0.4653
Ge 0.1762 0.1579 0.6351
Ge 0.1762 0.3421 0.1351
Ge 0.3238 0.6579 0.6351
Ge 0.3238 0.8421 0.1351
Ge 0.3446 0.5947 0.9653
Ge 0.3446 0.9053 0.4653
Ge 0.3588 0.5290 0.1756
Ge 0.3588 0.9710 0.6756
Ge 0.6412 0.0290 0.3244
Ge 0.6412 0.4710 0.8244
Ge 0.6554 0.0947 0.5347
Ge 0.6554 0.4053 0.0347
Ge 0.6762 0.1579 0.8649
Ge 0.6762 0.3421 0.3649
Ge 0.8238 0.6579 0.8649
Ge 0.8238 0.8421 0.3649
Ge 0.8446 0.5947 0.5347
Ge 0.8446 0.9053 0.0347
Ge 0.8588 0.5290 0.3244
Ge 0.8588 0.9710 0.8244
Pb 0.1271 0.1869 0.3471
Pb 0.1271 0.3131 0.8471
Pb 0.3729 0.6869 0.3471
Pb 0.3729 0.8131 0.8471
Pb 0.6271 0.1869 0.1529
Pb 0.6271 0.3131 0.6529
Pb 0.8729 0.6869 0.1529
Pb 0.8729 0.8131 0.6529
O 0.0782 0.5826 0.2502
O 0.0782 0.9174 0.7502
O 0.1224 0.0027 0.9054
O 0.1224 0.4973 0.4054
O 0.1234 0.6550 0.5337
O 0.1234 0.8450 0.0337
O 0.1341 0.6642 0.9089
O 0.1341 0.8358 0.4089
O 0.2169 0.5878 0.0796
O 0.2169 0.9122 0.5796
O 0.2205 0.0679 0.7014
O 0.2205 0.4321 0.2014
O 0.2397 0.2476 0.6953
O 0.2397 0.2524 0.1953
O 0.2603 0.7476 0.6953
O 0.2603 0.7524 0.1953
O 0.2795 0.5679 0.7014
O 0.2795 0.9321 0.2014
O 0.2831 0.0878 0.0796
O 0.2831 0.4122 0.5796
O 0.3659 0.1642 0.9089
O 0.3659 0.3358 0.4089
O 0.3766 0.1550 0.5337
O 0.3766 0.3450 0.0337
O 0.3776 0.5027 0.9054
O 0.3776 0.9973 0.4054
O 0.4218 0.0826 0.2502
O 0.4218 0.4174 0.7502
O 0.5782 0.5826 0.2498
O 0.5782 0.9174 0.7498
O 0.6224 0.0027 0.5946
O 0.6224 0.4973 0.0946
O 0.6234 0.6550 0.9663
O 0.6234 0.8450 0.4663
O 0.6341 0.6642 0.5911
O 0.6341 0.8358 0.0911
O 0.7169 0.5878 0.4204
O 0.7169 0.9122 0.9204
O 0.7205 0.0679 0.7986
O 0.7205 0.4321 0.2986
O 0.7397 0.2476 0.8047
O 0.7397 0.2524 0.3047
O 0.7603 0.7476 0.8047
O 0.7603 0.7524 0.3047
O 0.7795 0.5679 0.7986
O 0.7795 0.9321 0.2986
O 0.7831 0.0878 0.4204
O 0.7831 0.4122 0.9204
O 0.8659 0.1642 0.5911
O 0.8659 0.3358 0.0911
O 0.8766 0.1550 0.9663
O 0.8766 0.3450 0.4663
O 0.8776 0.5027 0.5946
O 0.8776 0.9973 0.0946
O 0.9218 0.0826 0.2498
O 0.9218 0.4174 0.7498